[1]
Below is an optimized crystal structure of YbMgTl2, with properties calculated at the meta-GGA r2SCAN level.

```
data_YbMgTl2
_cell_length_a 5.182
_cell_length_b 5.182
_cell_length_c 5.182
_cell_angle_alpha 60.00
_cell_angle_beta 60.00
_cell_angle_gamma 60.00
_symmetry_space_group_name_H-M 'P 1'
_symmetry_Int_Tables_number 1
loop_
_symmetry_equiv_pos_as_xyz
'x,y,z'
loop_
_atom_site_label
_atom_site_type_symbol
_atom_site_fract_x
_atom_site_fract_y
_atom_site_fract_z
Yb1 Yb 0.000 0.000 0.000
Mg1 Mg 0.500 0.500 0.500
Tl1 Tl 0.250 0.250 0.250
Tl2 Tl 0.750 0.750 0.750
```

* DFT total energy: -147.93 eV per formula unit
* energy of formation from the pure elements: -217.2 meV per atom

=====

[2]
Below is an optimized crystal structure of V2CoO4, with properties calculated at the meta-GGA r2SCAN level.

```
data_V2CoO4
_cell_length_a 5.904
_cell_length_b 5.903
_cell_length_c 5.903
_cell_angle_alpha 118.54
_cell_angle_beta 118.53
_cell_angle_gamma 92.56
_symmetry_space_group_name_H-M 'P 1'
_symmetry_Int_Tables_number 1
loop_
_symmetry_equiv_pos_as_xyz
'x,y,z'
loop_
_atom_site_label
_atom_site_type_symbol
_atom_site_fract_x
_atom_site_fract_y
_atom_site_fract_z
V1 V 0.000 0.500 0.500
V2 V 0.500 0.000 0.000
V3 V 0.500 0.500 0.500
V4 V 0.500 0.500 0.000
Co1 Co 0.875 0.125 0.750
Co2 Co 0.125 0.875 0.250
O1 O 0.740 0.270 0.018
O2 O 0.730 0.248 0.470
O3 O 0.279 0.260 0.030
O4 O 0.751 0.722 0.482
O5 O 0.249 0.278 0.518
O6 O 0.721 0.740 0.970
O7 O 0.270 0.752 0.530
O8 O 0.260 0.730 0.982
```

* DFT total energy: -80.92 eV per formula unit
* energy of formation from the pure elements: -2230.8 meV per atom
* distance to the lowest polymorph of the same formula: 0.000 eV/atom

=====

[3]
Below is an optimized crystal structure of HoGa3, with properties calculated at the meta-GGA r2SCAN level.

```
data_HoGa3
_cell_length_a 6.076
_cell_length_b 6.076
_cell_length_c 9.351
_cell_angle_alpha 90.00
_cell_angle_beta 90.00
_cell_angle_gamma 120.00
_symmetry_space_group_name_H-M 'P 1'
_symmetry_Int_Tables_number 1
loop_
_symmetry_equiv_pos_as_xyz
'x,y,z'
loop_
_atom_site_label
_atom_site_type_symbol
_atom_site_fract_x
_atom_site_fract_y
_atom_site_fract_z
Ho1 Ho 0.000 0.000 0.500
Ho2 Ho 0.000 0.000 0.000
Ho3 Ho 0.667 0.333 0.750
Ho4 Ho 0.333 0.667 0.250
Ga1 Ga 0.500 0.000 0.500
Ga2 Ga 0.500 0.500 0.500
Ga3 Ga 0.000 0.500 0.500
Ga4 Ga 0.500 0.000 0.000
Ga5 Ga 0.500 0.500 0.000
Ga6 Ga 0.000 0.500 0.000
Ga7 Ga 0.186 0.814 0.750
Ga8 Ga 0.627 0.814 0.750
Ga9 Ga 0.186 0.373 0.750
Ga10 Ga 0.814 0.186 0.250
Ga11 Ga 0.373 0.186 0.250
Ga12 Ga 0.814 0.627 0.250
```

* DFT total energy: -69.46 eV per formula unit
* energy of formation from the pure elements: -563.6 meV per atom

=====

[4]
Below is an optimized crystal structure of ThSnRh, with properties calculated at the meta-GGA r2SCAN level.

```
data_ThSnRh
_cell_length_a 7.560
_cell_length_b 7.560
_cell_length_c 4.113
_cell_angle_alpha 90.00
_cell_angle_beta 90.00
_cell_angle_gamma 120.00
_symmetry_space_group_name_H-M 'P 1'
_symmetry_Int_Tables_number 1
loop_
_symmetry_equiv_pos_as_xyz
'x,y,z'
loop_
_atom_site_label
_atom_site_type_symbol
_atom_site_fract_x
_atom_site_fract_y
_atom_site_fract_z
Th1 Th 0.413 0.413 0.500
Th2 Th 0.587 0.000 0.500
Th3 Th 0.000 0.587 0.500
Sn1 Sn 0.750 0.750 0.000
Sn2 Sn 0.250 0.000 0.000
Sn3 Sn 0.000 0.250 0.000
Rh1 Rh 0.667 0.333 0.000
Rh2 Rh 0.333 0.667 0.000
Rh3 Rh 0.000 0.000 0.500
```

* DFT total energy: -125.31 eV per formula unit
* energy of formation from the pure elements: -982.7 meV per atom